Record 1
First-principles (GGA-PBE) data for a relaxed TmGePd2 crystal, as listed in the Materials Project.

Cell and atoms, written as POSCAR:
```
TmGePd2
1.0
-0.426 -2.852 -4.803
5.861 -3.772 1.720
-4.154 -4.946 3.306
Ge Tm Pd
4 4 8
Direct
0.139 0.250 0.121 Ge
0.639 0.750 0.379 Ge
0.361 0.250 0.621 Ge
0.861 0.750 0.879 Ge
0.644 0.250 0.977 Tm
0.144 0.750 0.523 Tm
0.356 0.750 0.023 Tm
0.856 0.250 0.477 Tm
0.412 0.052 0.316 Pd
0.912 0.552 0.184 Pd
0.912 0.948 0.184 Pd
0.588 0.948 0.684 Pd
0.088 0.052 0.816 Pd
0.412 0.448 0.316 Pd
0.088 0.448 0.816 Pd
0.588 0.552 0.684 Pd
```

Record 2
First-principles (GGA-PBE) data for a relaxed YGe2Pd crystal, as listed in the Materials Project.

Cell and atoms, written as POSCAR:
```
YGe2Pd
1.0
0.020 -0.654 -4.297
-1.519 8.599 -1.316
8.812 -2.575 2.632
Y Ge Pd
4 8 4
Direct
0.797 0.797 0.594 Y
0.000 0.761 0.000 Y
0.203 0.203 0.406 Y
0.000 0.239 0.000 Y
0.198 0.547 0.396 Ge
0.198 0.849 0.396 Ge
0.574 0.074 0.149 Ge
0.425 0.425 0.851 Ge
0.802 0.151 0.604 Ge
0.575 0.575 0.149 Ge
0.426 0.926 0.851 Ge
0.802 0.453 0.604 Ge
0.353 0.102 0.705 Pd
0.647 0.898 0.295 Pd
0.353 0.603 0.705 Pd
0.647 0.397 0.295 Pd
```

Record 3
First-principles (GGA-PBE) data for a relaxed YGePd2 crystal, as listed in the Materials Project.

Cell and atoms, written as POSCAR:
```
YGePd2
1.0
5.613 0.000 0.000
0.000 7.136 0.000
0.000 0.000 7.450
Ge Pd Y
4 8 4
Direct
0.644 0.750 0.377 Ge
0.356 0.250 0.623 Ge
0.144 0.250 0.123 Ge
0.856 0.750 0.877 Ge
0.090 0.448 0.821 Pd
0.910 0.552 0.179 Pd
0.410 0.052 0.321 Pd
0.910 0.948 0.179 Pd
0.090 0.052 0.821 Pd
0.410 0.448 0.321 Pd
0.590 0.948 0.679 Pd
0.590 0.552 0.679 Pd
0.145 0.750 0.528 Y
0.355 0.750 0.028 Y
0.855 0.250 0.472 Y
0.645 0.250 0.972 Y
```

Record 4
First-principles (GGA-PBE) data for a relaxed Pm3Ge crystal, as listed in the Materials Project.

Cell and atoms, written as POSCAR:
```
Pm3Ge
1.0
-0.263 -2.018 -4.356
3.252 -3.284 1.324
-3.531 -2.874 1.545
Pm Ge
3 1
Direct
0.500 0.500 0.000 Pm
0.500 0.000 0.500 Pm
0.000 0.500 0.500 Pm
0.000 0.000 0.000 Ge
```

Record 5
First-principles (GGA-PBE) data for a relaxed Pr4Ge7 crystal, as listed in the Materials Project.

Cell and atoms, written as POSCAR:
```
Pr4Ge7
1.0
3.041 -7.069 0.000
3.041 7.069 0.000
0.000 0.000 12.169
Ge Pr
14 8
Direct
0.937 0.063 0.250 Ge
0.418 0.075 0.871 Ge
0.572 0.397 0.490 Ge
0.027 0.327 0.661 Ge
0.075 0.418 0.129 Ge
0.603 0.428 0.010 Ge
0.582 0.925 0.371 Ge
0.063 0.937 0.750 Ge
0.925 0.582 0.629 Ge
0.327 0.027 0.339 Ge
0.397 0.572 0.510 Ge
0.973 0.673 0.161 Ge
0.428 0.603 0.990 Ge
0.673 0.973 0.839 Ge
0.504 0.496 0.750 Pr
0.519 0.009 0.119 Pr
0.481 0.991 0.619 Pr
0.496 0.504 0.250 Pr
0.991 0.481 0.381 Pr
0.009 0.519 0.881 Pr
0.988 0.988 0.500 Pr
0.012 0.012 0.000 Pr
```

Record 6
First-principles (GGA-PBE) data for a relaxed Pr4Ge3 crystal, as listed in the Materials Project.

Cell and atoms, written as POSCAR:
```
Pr4Ge3
1.0
6.000 -4.377 3.015
-4.558 2.767 5.985
-4.453 -4.559 -4.862
Pr Ge
8 6
Direct
0.633 0.500 0.000 Pr
0.133 0.500 0.000 Pr
0.500 0.000 0.133 Pr
0.000 0.633 0.500 Pr
0.500 0.000 0.633 Pr
0.867 0.867 0.867 Pr
0.000 0.133 0.500 Pr
0.367 0.367 0.367 Pr
0.750 0.375 0.625 Ge
0.250 0.125 0.875 Ge
0.375 0.625 0.750 Ge
0.125 0.875 0.250 Ge
0.875 0.250 0.125 Ge
0.625 0.750 0.375 Ge
```

Record 7
First-principles (GGA-PBE) data for a relaxed Pr5Ge4 crystal, as listed in the Materials Project.

Cell and atoms, written as POSCAR:
```
Pr5Ge4
1.0
-2.435 7.300 -2.248
-7.628 -1.941 1.959
2.347 5.176 14.268
Pr Ge
20 16
Direct
0.120 0.660 0.886 Pr
0.525 0.679 0.397 Pr
0.475 0.321 0.897 Pr
0.975 0.179 0.603 Pr
0.620 0.840 0.614 Pr
0.975 0.179 0.897 Pr
0.285 0.997 0.750 Pr
0.880 0.340 0.114 Pr
0.025 0.821 0.103 Pr
0.620 0.840 0.886 Pr
0.785 0.503 0.750 Pr
0.025 0.821 0.397 Pr
0.120 0.660 0.614 Pr
0.380 0.160 0.386 Pr
0.380 0.160 0.114 Pr
0.475 0.321 0.603 Pr
0.525 0.679 0.103 Pr
0.215 0.497 0.250 Pr
0.880 0.340 0.386 Pr
0.715 0.003 0.250 Pr
0.778 0.532 0.955 Ge
0.778 0.532 0.545 Ge
0.825 0.632 0.250 Ge
0.278 0.968 0.545 Ge
0.722 0.032 0.045 Ge
0.175 0.368 0.750 Ge
0.222 0.468 0.045 Ge
0.410 0.609 0.750 Ge
0.325 0.868 0.250 Ge
0.590 0.391 0.250 Ge
0.090 0.109 0.250 Ge
0.278 0.968 0.955 Ge
0.675 0.132 0.750 Ge
0.722 0.032 0.455 Ge
0.910 0.891 0.750 Ge
0.222 0.468 0.455 Ge
```

Summary:
Size of the total moment: 0.014 μB per atom

Record 8
First-principles (GGA-PBE) data for a relaxed PrGe2 crystal, as listed in the Materials Project.

Cell and atoms, written as POSCAR:
```
PrGe2
1.0
-2.098 2.098 8.129
2.098 -2.098 8.129
2.098 2.098 -8.129
Ge Pr
4 2
Direct
0.830 0.330 0.500 Ge
0.670 0.170 0.500 Ge
0.920 0.920 0.000 Ge
0.080 0.080 0.000 Ge
0.500 0.500 0.000 Pr
0.250 0.750 0.500 Pr
```

How do the records compare in calculated formation energy? In the order shown, they have -914, -769, -913, -341, -725, -798, -785, -619 meV per atom.